1.
Density functional theory data (r²SCAN) for ErAsS after structural relaxation.

* space group: Pnma, No. 62

Lattice parameters (Å, degrees): 3.7867 3.8195 16.8073 90.00 90.00 90.00
Fractional coordinates of all 12 atoms:
Er 0.2500 0.2333 0.8540
Er 0.2500 0.2667 0.3540
Er 0.7500 0.7667 0.1460
Er 0.7500 0.7333 0.6460
As 0.7500 0.2157 0.5019
As 0.7500 0.2843 0.0019
As 0.2500 0.7843 0.4981
As 0.2500 0.7157 0.9981
S 0.2500 0.2367 0.6872
S 0.2500 0.2633 0.1872
S 0.7500 0.7633 0.3128
S 0.7500 0.7367 0.8128


2.
Density functional theory data (r²SCAN) for LiFeAs after structural relaxation.

* space group: P4/nmm, No. 129

Lattice parameters (Å, degrees): 3.6727 3.6727 6.5767 90.00 90.00 90.00
Fractional coordinates of all 6 atoms:
Li 0.2500 0.2500 0.8435
Li 0.7500 0.7500 0.1565
Fe 0.7500 0.2500 0.5000
Fe 0.2500 0.7500 0.5000
As 0.2500 0.2500 0.2492
As 0.7500 0.7500 0.7508


3.
Density functional theory data (r²SCAN) for F after structural relaxation.

* space group: Pm-3n, No. 223

Lattice parameters (Å, degrees): 4.2904 4.2921 4.2937 90.00 90.00 90.00
Fractional coordinates of all 8 atoms:
F 0.0000 0.0000 0.0000
F 0.5000 0.5000 0.5000
F 0.2499 0.5000 0.0000
F 0.7501 0.5000 0.0000
F 0.5000 0.0000 0.2498
F 0.5000 0.0000 0.7502
F 0.0000 0.7497 0.5000
F 0.0000 0.2503 0.5000


4.
Density functional theory data (r²SCAN) for Er2FeC4 after structural relaxation.

* space group: Ibam, No. 72

Lattice parameters (Å, degrees): 4.9599 6.5024 6.5024 69.48 67.58 67.58
Fractional coordinates of all 14 atoms:
Er 0.1445 0.5114 0.1996
Er 0.8555 0.4886 0.8004
Er 0.3555 0.8004 0.4886
Er 0.6445 0.1996 0.5114
Fe 0.2500 0.0000 0.0000
Fe 0.7500 0.0000 0.0000
C 0.4219 0.2431 0.9130
C 0.5781 0.7569 0.0870
C 0.0781 0.0870 0.7569
C 0.9219 0.9130 0.2431
C 0.3704 0.4680 0.7911
C 0.6296 0.5320 0.2089
C 0.8704 0.7911 0.4680
C 0.1296 0.2089 0.5320


5.
Density functional theory data (r²SCAN) for BaCdSn after structural relaxation.

* space group: C2/m, No. 12

Lattice parameters (Å, degrees): 6.6115 6.6115 8.5368 50.09 50.09 46.64
Fractional coordinates of all 6 atoms:
Ba 0.5448 0.5448 0.7049
Ba 0.4552 0.4552 0.2951
Cd 0.1585 0.1585 0.2751
Cd 0.8415 0.8415 0.7249
Sn 0.8398 0.8398 0.0997
Sn 0.1602 0.1602 0.9003


6.
Density functional theory data (r²SCAN) for P2Pb3O8 after structural relaxation.

* space group: P3, No. 143

Lattice parameters (Å, degrees): 9.8126 9.8126 7.2114 90.00 90.00 120.00
Fractional coordinates of all 39 atoms:
P 0.6052 0.9818 0.2509
P 0.3767 0.3948 0.2509
P 0.0182 0.6233 0.2509
P 0.3972 0.0186 0.7516
P 0.6214 0.6028 0.7515
P 0.9814 0.3786 0.7516
Pb 0.7539 0.7402 0.2439
Pb 0.9863 0.2461 0.2439
Pb 0.2598 0.0137 0.2439
Pb 0.2584 0.2541 0.7572
Pb 0.9957 0.7416 0.7572
Pb 0.7459 0.0043 0.7572
Pb 0.6667 0.3333 0.4883
Pb 0.3333 0.6667 0.9952
Pb 0.3333 0.6667 0.4963
O 0.4246 0.9163 0.2370
O 0.4917 0.5754 0.2370
O 0.0837 0.5083 0.2370
O 0.5768 0.0938 0.7615
O 0.5170 0.4232 0.7615
O 0.9062 0.4830 0.7615
O 0.6959 0.1609 0.2611
O 0.4651 0.3041 0.2611
O 0.8390 0.5349 0.2611
O 0.3204 0.8364 0.7483
O 0.5160 0.6796 0.7483
O 0.1636 0.4840 0.7483
O 0.6339 0.9064 0.4234
O 0.2725 0.3661 0.4234
O 0.0936 0.7275 0.4234
O 0.3288 0.0662 0.9148
O 0.7374 0.6712 0.9148
O 0.9338 0.2626 0.9148
O 0.3560 0.0800 0.5756
O 0.7240 0.6440 0.5756
O 0.9200 0.2760 0.5756
O 0.6532 0.9203 0.0797
O 0.2671 0.3468 0.0797
O 0.0797 0.7329 0.0797


7.
Density functional theory data (r²SCAN) for Ta6Fe16Si7 after structural relaxation.

* space group: Fm-3m, No. 225

Lattice parameters (Å, degrees): 7.8534 7.8534 7.8534 60.00 60.00 60.00
Fractional coordinates of all 29 atoms:
Ta 0.2057 0.7943 0.2057
Ta 0.2057 0.7943 0.7943
Ta 0.7943 0.2057 0.2057
Ta 0.7943 0.7943 0.2057
Ta 0.2057 0.2057 0.7943
Ta 0.7943 0.2057 0.7943
Fe 0.1737 0.1737 0.1737
Fe 0.5211 0.8263 0.8263
Fe 0.8263 0.5211 0.8263
Fe 0.8263 0.8263 0.5211
Fe 0.1737 0.4788 0.1737
Fe 0.1737 0.1737 0.4788
Fe 0.4788 0.1737 0.1737
Fe 0.8263 0.8263 0.8263
Fe 0.3798 0.3798 0.3798
Fe 0.1394 0.6202 0.6202
Fe 0.6202 0.1394 0.6202
Fe 0.6202 0.6202 0.1394
Fe 0.3798 0.8606 0.3798
Fe 0.3798 0.3798 0.8606
Fe 0.8606 0.3798 0.3798
Fe 0.6202 0.6202 0.6202
Si 0.5000 0.5000 0.5000
Si 0.0000 0.5000 0.0000
Si 0.5000 0.0000 0.0000
Si 0.0000 0.5000 0.5000
Si 0.5000 0.0000 0.5000
Si 0.0000 0.0000 0.5000
Si 0.5000 0.5000 0.0000


What did we get for energy of formation from the pure elements? Answer: -1758, -465, 779, -379, -589, -2080, -205 meV/atom, in the order shown.